Material: Li4Al3Ge3IO12
Method: DFT, PBE-GGA
State: relaxed

It has space group P-43n (No. 218), with a = 8.846 Å, b = 8.846 Å, c = 8.846 Å, α = 90.00°, β = 90.00° and γ = 90.00°. The inequivalent atoms are Li at (0.191, 0.191, 0.191), Al at (0.000, 0.250, 0.500), Ge at (0.000, 0.500, 0.250), I at (0.000, 0.000, 0.000) and O at (0.091, 0.359, 0.641).

The calculation puts the calculated formation energy at -2.5990 eV per atom.


Material: Mg2Sb3O8
Method: DFT, PBE-GGA
State: relaxed

It has space group C2/m (No. 12), with a = 11.125 Å, b = 6.406 Å, c = 5.516 Å, α = 90.00°, β = 113.62° and γ = 90.00°. The inequivalent atoms are Mg at (0.215, 0.000, 0.140), Sb at (0.000, 0.235, 0.500), Sb at (0.000, 0.500, 0.000), O at (0.104, 0.000, 0.413), O at (0.113, 0.500, 0.467) and O at (0.122, 0.257, 0.894).

Its energy above the most stable polymorph in this dataset is 0.013 eV/atom. The calculation puts the calculated formation energy at -1.9825 eV per atom.


Material: K3Mo3C3Se4N2
Method: DFT, PBE-GGA
State: relaxed

It has space group I4/m (No. 87), with a = 11.733 Å, b = 11.733 Å, c = 9.625 Å, α = 90.00°, β = 90.00° and γ = 90.00°. The inequivalent atoms are K at (0.000, 0.500, 0.250), K at (0.130, 0.779, 0.000), Mo at (0.000, 0.000, 0.296), Mo at (0.054, 0.845, 0.500), C at (0.000, 0.000, 0.066), C at (0.106, 0.668, 0.500), Se at (0.096, 0.200, 0.310) and N at (0.070, 0.369, 0.000).

The calculation puts the calculated formation energy at -0.5214 eV per atom.


Material: Sc2CoOs
Method: DFT, PBE-GGA
State: relaxed

It has space group Fm-3m (No. 225), with a = 6.371 Å, b = 6.371 Å, c = 6.371 Å, α = 90.00°, β = 90.00° and γ = 90.00°. The inequivalent atoms are Sc at (0.250, 0.250, 0.250), Co at (0.000, 0.000, 0.000) and Os at (0.000, 0.000, 0.500).

The calculation puts the calculated formation energy at -0.3756 eV per atom.


Material: Cu2Te3O8
Method: DFT, PBE-GGA
State: relaxed

It has space group C2/c (No. 15), with a = 11.947 Å, b = 5.379 Å, c = 12.470 Å, α = 90.00°, β = 100.11° and γ = 90.00°. The inequivalent atoms are Cu at (0.233, 0.232, 0.342), Te at (0.000, 0.129, 0.750), Te at (0.135, 0.214, 0.055), O at (0.086, 0.093, 0.352), O at (0.119, 0.098, 0.643), O at (0.189, 0.407, 0.181) and O at (0.222, 0.459, 0.952).

The calculation puts the calculated formation energy at -1.2907 eV per atom.


Material: AsRh2
Method: DFT, PBE-GGA
State: relaxed

It has space group Pnma (No. 62), with a = 5.847 Å, b = 4.004 Å, c = 7.525 Å, α = 90.00°, β = 90.00° and γ = 90.00°. The inequivalent atoms are As at (0.233, 0.250, 0.112), Rh at (0.032, 0.250, 0.822) and Rh at (0.147, 0.250, 0.427).

The calculation puts the calculated formation energy at -0.3798 eV per atom.


Number 1: calculated volume 15.050 Å³ per atom, VASP energy -6.31 eV per atom. Number 2: calculated volume 13.853 Å³ per atom, VASP energy -5.80 eV per atom. Number 3: calculated volume 22.084 Å³ per atom, VASP energy -6.75 eV per atom. Number 4: calculated volume 16.165 Å³ per atom, VASP energy -8.13 eV per atom. Number 5: calculated volume 15.171 Å³ per atom, VASP energy -5.27 eV per atom. Number 6: calculated volume 14.681 Å³ per atom, VASP energy -6.84 eV per atom.